{"formula": "Ca2AlCuAs3O19", "functional": "GGA-PBE", "state": "relaxed", "lattice": [[5.783, 0.054, 1.094], [1.976, 9.931, 0.484], [-0.104, 0.148, 12.095]], "species": ["O", "Al", "O", "O", "O", "O", "O", "O", "Ca", "Ca", "O", "O", "O", "O", "O", "O", "O", "O", "O", "O", "O", "Ca", "Cu", "O", "O", "O", "O", "O", "O", "O", "O", "As", "O", "Ca", "O", "As", "As", "O", "Al", "O", "O", "Cu", "O", "O", "O", "O", "O", "O", "O", "As", "As", "As"], "fractional_positions": [[0.918, 0.370, 0.390], [0.500, 0.000, 0.000], [0.161, 0.427, 0.857], [0.694, 0.123, 0.027], [0.821, 0.890, 0.554], [0.306, 0.877, 0.973], [0.218, 0.118, 0.073], [0.601, 0.780, 0.346], [0.756, 0.053, 0.215], [0.558, 0.437, 0.218], [0.805, 0.369, 0.027], [0.579, 0.324, 0.855], [0.399, 0.220, 0.654], [0.293, 0.047, 0.602], [0.097, 0.525, 0.271], [0.921, 0.081, 0.681], [0.501, 0.461, 0.428], [0.226, 0.394, 0.084], [0.782, 0.882, 0.927], [0.087, 0.748, 0.762], [0.839, 0.573, 0.143], [0.442, 0.563, 0.782], [0.687, 0.751, 0.150], [0.527, 0.924, 0.143], [0.499, 0.539, 0.572], [0.774, 0.606, 0.916], [0.826, 0.275, 0.611], [0.421, 0.676, 0.145], [0.903, 0.475, 0.729], [0.913, 0.252, 0.238], [0.041, 0.181, 0.851], [0.947, 0.733, 0.504], [0.079, 0.919, 0.319], [0.244, 0.947, 0.785], [0.082, 0.630, 0.610], [0.804, 0.753, 0.837], [0.196, 0.247, 0.163], [0.245, 0.359, 0.535], [0.000, 0.500, 0.000], [0.473, 0.076, 0.857], [0.707, 0.953, 0.398], [0.313, 0.249, 0.850], [0.585, 0.768, 0.759], [0.195, 0.631, 0.973], [0.755, 0.641, 0.465], [0.174, 0.725, 0.389], [0.959, 0.819, 0.149], [0.415, 0.232, 0.241], [0.179, 0.110, 0.446], [0.219, 0.752, 0.060], [0.053, 0.267, 0.496], [0.781, 0.248, 0.940]]}

{"formula": "PmIn3", "functional": "GGA-PBE", "state": "relaxed", "lattice": [[-1.895, -4.145, 1.172], [1.332, -1.782, -4.146], [4.096, -1.338, 1.890]], "species": ["In", "In", "In", "Pm"], "fractional_positions": [[0.000, 0.500, 0.500], [0.500, 0.500, 0.000], [0.500, 0.000, 0.500], [0.000, 0.000, 0.000]]}

{"formula": "Er2Fe17C3", "functional": "GGA-PBE", "state": "relaxed", "lattice": [[4.864, -4.292, 0.000], [4.864, 4.292, 0.000], [1.078, 0.000, 6.397]], "species": ["Fe", "Fe", "C", "Fe", "Fe", "Fe", "Fe", "Er", "C", "Fe", "Fe", "C", "Fe", "Fe", "Fe", "Fe", "Fe", "Fe", "Fe", "Fe", "Fe", "Er"], "fractional_positions": [[0.284, 0.716, 0.000], [0.000, 0.000, 0.500], [0.500, 0.000, 0.500], [0.096, 0.096, 0.096], [0.344, 0.855, 0.344], [0.000, 0.716, 0.284], [0.656, 0.656, 0.145], [0.342, 0.342, 0.342], [0.000, 0.500, 0.500], [0.000, 0.500, 0.000], [0.904, 0.904, 0.904], [0.500, 0.500, 0.000], [0.500, 0.000, 0.000], [0.855, 0.344, 0.344], [0.284, 0.000, 0.716], [0.716, 0.284, 0.000], [0.344, 0.344, 0.855], [0.716, 0.000, 0.284], [0.145, 0.656, 0.656], [0.656, 0.145, 0.656], [0.000, 0.284, 0.716], [0.658, 0.658, 0.658]]}

{"formula": "Tl2Pt5S6", "functional": "GGA-PBE", "state": "relaxed", "lattice": [[-1.891, -6.629, -1.668], [0.460, -1.838, 6.784], [-10.434, 1.274, 6.768]], "species": ["S", "S", "Tl", "S", "Pt", "S", "S", "Pt", "S", "Pt", "S", "S", "S", "S", "Tl", "Pt", "S", "Pt", "Pt", "S", "Pt", "Tl", "Pt", "Pt", "Tl", "Pt"], "fractional_positions": [[0.559, 0.258, 0.835], [0.564, 0.742, 0.693], [0.213, 0.661, 0.454], [0.936, 0.742, 0.193], [0.072, 0.000, 0.733], [0.841, 0.849, 0.887], [0.659, 0.849, 0.387], [0.689, 0.500, 0.245], [0.341, 0.151, 0.613], [0.572, 0.000, 0.767], [0.059, 0.742, 0.665], [0.159, 0.151, 0.113], [0.064, 0.258, 0.807], [0.441, 0.742, 0.165], [0.287, 0.661, 0.954], [0.811, 0.500, 0.745], [0.941, 0.258, 0.335], [0.428, 0.000, 0.233], [0.311, 0.500, 0.755], [0.436, 0.258, 0.307], [0.000, 0.000, 0.000], [0.713, 0.339, 0.046], [0.928, 0.000, 0.267], [0.189, 0.500, 0.255], [0.787, 0.339, 0.546], [0.500, 0.000, 0.500]]}

{"formula": "Be2NCl5", "functional": "GGA-PBE", "state": "relaxed", "lattice": [[-6.598, -7.533, 1.280], [-8.941, 0.272, -4.679], [-1.920, -6.372, -7.591]], "species": ["Cl", "Cl", "Cl", "Cl", "Be", "Be", "Cl", "Be", "Cl", "Be", "Cl", "Cl", "Cl", "Cl", "Cl", "Be", "Cl", "Be", "Cl", "Cl", "N", "Cl", "Cl", "N", "Cl", "Cl", "Cl", "N", "N", "Be", "Be", "Cl"], "fractional_positions": [[0.486, 0.838, 0.838], [0.412, 0.412, 0.412], [0.834, 0.166, 0.834], [0.838, 0.486, 0.838], [0.918, 0.918, 0.246], [0.246, 0.918, 0.918], [0.834, 0.166, 0.166], [0.918, 0.246, 0.918], [0.084, 0.416, 0.416], [0.332, 0.332, 0.004], [0.166, 0.166, 0.834], [0.412, 0.764, 0.412], [0.834, 0.834, 0.166], [0.166, 0.834, 0.834], [0.838, 0.838, 0.838], [0.004, 0.332, 0.332], [0.764, 0.412, 0.412], [0.918, 0.918, 0.918], [0.412, 0.412, 0.764], [0.084, 0.084, 0.416], [0.625, 0.125, 0.625], [0.416, 0.084, 0.416], [0.084, 0.416, 0.084], [0.625, 0.625, 0.125], [0.416, 0.416, 0.084], [0.838, 0.838, 0.486], [0.416, 0.084, 0.084], [0.125, 0.625, 0.625], [0.625, 0.625, 0.625], [0.332, 0.004, 0.332], [0.332, 0.332, 0.332], [0.166, 0.834, 0.166]]}

{"formula": "Ba2NdRuO6", "functional": "GGA-PBE", "state": "relaxed", "lattice": [[0.000, 4.301, 4.301], [4.301, 0.000, 4.301], [4.301, 4.301, 0.000]], "species": ["Ba", "O", "O", "O", "Nd", "Ru", "O", "O", "O", "Ba"], "fractional_positions": [[0.250, 0.250, 0.250], [0.230, 0.230, 0.770], [0.770, 0.770, 0.230], [0.770, 0.230, 0.770], [0.500, 0.500, 0.500], [0.000, 0.000, 0.000], [0.230, 0.770, 0.770], [0.770, 0.230, 0.230], [0.230, 0.770, 0.230], [0.750, 0.750, 0.750]]}

{"formula": "TiCu3P4O16", "functional": "GGA-PBE", "state": "relaxed", "lattice": [[-4.472, -0.256, 4.019], [-3.210, -1.464, -3.665], [2.111, -9.486, 1.743]], "species": ["O", "O", "O", "O", "O", "Cu", "O", "O", "O", "Cu", "O", "P", "O", "Cu", "P", "Ti", "O", "O", "O", "O", "O", "O", "P", "P"], "fractional_positions": [[0.500, 0.402, 0.952], [0.800, 0.778, 0.328], [0.000, 0.624, 0.052], [0.699, 0.283, 0.173], [0.708, 0.191, 0.670], [0.500, 0.619, 0.798], [0.500, 0.119, 0.448], [0.500, 0.732, 0.135], [0.000, 0.309, 0.857], [0.500, 0.877, 0.309], [0.292, 0.191, 0.670], [0.000, 0.923, 0.391], [0.192, 0.763, 0.829], [0.000, 0.374, 0.193], [0.000, 0.597, 0.898], [0.000, 0.040, 0.719], [0.808, 0.763, 0.829], [0.301, 0.283, 0.173], [0.200, 0.778, 0.328], [0.500, 0.760, 0.623], [0.000, 0.223, 0.368], [0.000, 0.877, 0.549], [0.500, 0.061, 0.602], [0.500, 0.434, 0.108]]}

{"formula": "Na10Ca6Zr2Si3S9O48", "functional": "GGA-PBE", "state": "relaxed", "lattice": [[-4.862, 16.368, 7.653], [-3.358, -8.018, 3.510], [18.222, -1.330, 14.406]], "species": ["O", "O", "Ca", "Zr", "O", "Na", "O", "O", "O", "O", "O", "O", "O", "O", "Ca", "Na", "O", "Na", "O", "O", "O", "Na", "Si", "O", "O", "O", "O", "S", "Ca", "Ca", "S", "Ca", "Na", "O", "Ca", "O", "Ca", "O", "O", "Na", "Na", "S", "O", "O", "O", "O", "Si", "O", "O", "O", "O", "O", "O", "O", "O", "O", "O", "Na", "S", "O", "O", "O", "O", "O", "O", "O", "S", "O", "O", "O", "Zr", "O", "Si", "Ca", "O", "Ca", "O", "O", "Ca", "S", "O", "O", "O", "O", "Zr", "Na", "O", "O", "Ca", "O", "O", "O", "O", "O", "O", "O", "O", "O", "Na", "S", "O", "O", "O", "Ca", "O", "O", "O", "O", "S", "S", "Ca", "Na", "O", "S", "O", "Na", "O", "Na", "Na", "O", "O", "Si", "O", "S", "Na", "O", "O", "O", "S", "S", "O", "Na", "S", "Na", "O", "O", "O", "O", "Na", "O", "O", "O", "O", "Na", "O", "S", "O", "Na", "O", "O", "O", "O", "O", "O", "Ca", "O", "O", "Si", "S", "O", "O", "O", "O", "S", "O", "Ca", "O", "Na", "Na", "O", "O", "O", "Si", "O", "O", "Na", "S", "Na", "S", "S", "O", "O", "Zr", "O", "O", "O", "Na", "O", "S", "O", "O", "O", "O", "Ca", "O", "O", "S", "Si", "O", "Na", "O", "O", "O", "S", "O", "Zr", "S", "Na", "O", "S", "Na", "O", "O", "Si", "S", "O", "O", "O", "Ca", "O", "O", "O", "Na", "O", "Ca", "O", "O", "Si", "Na", "Zr", "S", "O", "O", "O"], "fractional_positions": [[0.502, 0.181, 0.914], [0.273, 0.682, 0.964], [0.504, 0.005, 0.352], [0.996, 0.007, 0.654], [0.721, 0.095, 0.642], [0.853, 0.661, 0.414], [0.898, 0.025, 0.816], [0.402, 0.779, 0.314], [0.574, 0.479, 0.583], [0.344, 0.117, 0.032], [0.810, 0.499, 0.913], [0.267, 0.837, 0.746], [0.278, 0.660, 0.860], [0.589, 0.187, 0.701], [0.670, 0.671, 0.314], [0.831, 0.338, 0.337], [0.510, 0.821, 0.704], [0.485, 0.657, 0.918], [0.169, 0.865, 0.964], [0.174, 0.474, 0.362], [0.608, 0.007, 0.302], [0.491, 0.636, 0.257], [0.014, 0.663, 0.416], [0.341, 0.520, 0.246], [0.221, 0.116, 0.638], [0.756, 0.828, 0.756], [0.569, 0.677, 0.084], [0.169, 0.967, 0.916], [0.504, 0.016, 0.846], [0.834, 0.319, 0.181], [0.847, 0.696, 0.248], [0.333, 0.334, 0.986], [0.682, 0.709, 0.162], [0.162, 0.864, 0.584], [0.342, 0.351, 0.490], [0.938, 0.308, 0.532], [0.338, 0.339, 0.679], [0.748, 0.365, 0.418], [0.936, 0.337, 0.246], [0.156, 0.009, 0.412], [0.851, 0.027, 0.922], [0.811, 0.658, 0.915], [0.397, 0.991, 0.408], [0.427, 0.514, 0.413], [0.492, 0.819, 0.092], [0.089, 0.993, 0.202], [0.152, 0.300, 0.748], [0.663, 0.854, 0.582], [0.093, 0.177, 0.091], [0.091, 0.023, 0.587], [0.829, 0.137, 0.420], [0.759, 0.655, 0.863], [0.153, 0.476, 0.747], [0.002, 0.193, 0.921], [0.772, 0.676, 0.967], [0.945, 0.548, 0.139], [0.504, 0.813, 0.418], [0.503, 0.037, 0.999], [0.677, 0.023, 0.587], [0.922, 0.001, 0.094], [0.221, 0.348, 0.142], [0.562, 0.660, 0.461], [0.828, 0.130, 0.130], [0.216, 0.130, 0.533], [0.265, 0.854, 0.082], [0.720, 0.127, 0.538], [0.490, 0.333, 0.586], [0.573, 0.457, 0.971], [0.895, 0.802, 0.910], [0.070, 0.667, 0.082], [0.660, 0.647, 0.811], [0.665, 0.458, 0.470], [0.653, 0.301, 0.754], [0.166, 0.677, 0.520], [0.220, 0.313, 0.038], [0.832, 0.333, 0.486], [0.851, 0.104, 0.017], [0.772, 0.887, 0.364], [0.663, 0.665, 0.020], [0.513, 0.663, 0.413], [0.415, 0.012, 0.088], [0.838, 0.532, 0.243], [0.658, 0.485, 0.754], [0.334, 0.134, 0.743], [0.503, 0.012, 0.648], [0.505, 0.996, 0.505], [0.994, 0.812, 0.092], [0.509, 0.210, 0.195], [0.330, 0.332, 0.180], [0.433, 0.541, 0.744], [0.673, 0.467, 0.365], [0.419, 0.836, 0.597], [0.388, 0.006, 0.806], [0.764, 0.674, 0.583], [0.096, 0.987, 0.919], [0.424, 0.358, 0.917], [0.709, 0.298, 0.027], [0.438, 0.576, 0.033], [0.181, 0.025, 0.757], [0.167, 0.373, 0.414], [0.900, 0.805, 0.198], [0.593, 0.994, 0.198], [0.448, 0.339, 0.638], [0.164, 0.652, 0.817], [0.568, 0.487, 0.859], [0.086, 0.459, 0.253], [0.491, 0.772, 0.807], [0.323, 0.529, 0.639], [0.502, 0.709, 0.752], [0.348, 0.994, 0.750], [0.163, 0.659, 0.016], [0.998, 0.333, 0.755], [0.553, 0.664, 0.357], [0.010, 0.360, 0.915], [0.500, 0.181, 0.590], [0.326, 0.334, 0.836], [0.903, 0.975, 0.703], [0.171, 0.358, 0.593], [0.176, 0.670, 0.662], [0.008, 0.813, 0.696], [0.888, 0.772, 0.303], [0.335, 0.649, 0.584], [0.843, 0.570, 0.532], [0.646, 0.996, 0.248], [0.191, 0.355, 0.250], [0.158, 0.831, 0.253], [0.915, 0.819, 0.587], [0.673, 0.879, 0.858], [0.986, 0.642, 0.087], [0.177, 0.332, 0.088], [0.073, 0.691, 0.470], [0.983, 0.311, 0.417], [0.320, 0.669, 0.916], [0.830, 0.326, 0.827], [0.106, 0.175, 0.800], [0.993, 0.216, 0.309], [0.001, 0.823, 0.412], [0.247, 0.153, 0.245], [0.658, 0.308, 0.915], [0.740, 0.132, 0.914], [0.251, 0.660, 0.583], [0.592, 0.171, 0.093], [0.934, 0.537, 0.739], [0.354, 0.048, 0.916], [0.584, 0.710, 0.754], [0.002, 0.709, 0.748], [0.008, 0.201, 0.205], [0.833, 0.688, 0.083], [0.401, 0.988, 0.702], [0.733, 0.340, 0.131], [0.093, 0.199, 0.689], [0.775, 0.867, 0.468], [0.643, 0.833, 0.245], [0.623, 0.204, 0.814], [0.004, 0.008, 0.852], [0.049, 0.437, 0.859], [0.245, 0.323, 0.745], [0.152, 0.005, 0.254], [0.985, 0.320, 0.584], [0.331, 0.106, 0.137], [0.083, 0.712, 0.751], [0.592, 0.009, 0.590], [0.089, 0.211, 0.412], [0.174, 0.031, 0.586], [0.349, 0.576, 0.523], [0.832, 0.328, 0.679], [0.903, 0.987, 0.415], [0.315, 0.997, 0.245], [0.329, 0.330, 0.327], [0.164, 0.474, 0.082], [0.730, 0.134, 0.244], [0.165, 0.460, 0.467], [0.836, 0.020, 0.080], [0.748, 0.344, 0.743], [0.443, 0.311, 0.533], [0.162, 0.672, 0.163], [0.503, 0.301, 0.247], [0.664, 0.651, 0.662], [0.312, 0.963, 0.412], [0.485, 0.650, 0.086], [0.172, 0.890, 0.860], [0.404, 0.819, 0.916], [0.495, 0.993, 0.152], [0.989, 0.161, 0.587], [0.669, 0.471, 0.082], [0.263, 0.871, 0.358], [0.012, 0.036, 0.003], [0.122, 0.040, 0.315], [0.002, 0.300, 0.254], [0.072, 0.457, 0.582], [0.247, 0.131, 0.918], [0.061, 0.464, 0.963], [0.311, 0.120, 0.414], [0.001, 0.991, 0.345], [0.404, 0.835, 0.202], [0.840, 0.163, 0.746], [0.667, 0.961, 0.912], [0.350, 0.700, 0.257], [0.664, 0.865, 0.963], [0.690, 0.026, 0.750], [0.945, 0.335, 0.636], [0.596, 0.202, 0.417], [0.240, 0.349, 0.415], [0.677, 0.322, 0.084], [0.762, 0.827, 0.083], [0.160, 0.673, 0.311], [0.818, 0.968, 0.417], [0.816, 0.636, 0.743], [0.925, 0.339, 0.916], [0.669, 0.372, 0.418], [0.352, 0.671, 0.424], [0.766, 0.687, 0.244], [0.833, 0.557, 0.637], [0.515, 0.367, 0.918], [0.837, 0.651, 0.584], [0.330, 0.521, 0.920], [0.934, 0.569, 0.035], [0.443, 0.553, 0.138], [0.836, 0.312, 0.994], [0.575, 0.470, 0.248], [0.258, 0.687, 0.256], [0.272, 0.860, 0.462], [0.309, 0.615, 0.731], [0.925, 0.490, 0.415], [0.664, 0.667, 0.516], [0.069, 0.650, 0.359], [0.427, 0.312, 0.242], [0.848, 0.000, 0.758], [0.993, 0.951, 0.500], [0.002, 0.000, 0.151], [0.336, 0.023, 0.084], [0.496, 0.206, 0.299], [0.986, 0.776, 0.799], [0.589, 0.969, 0.912]]}

| no. | DFT formation energy (eV per atom) |
| --- | --- |
| 1 | -1.249 |
| 2 | -0.460 |
| 3 | -0.087 |
| 4 | -0.662 |
| 5 | -0.681 |
| 6 | -2.759 |
| 7 | -2.228 |
| 8 | -2.590 |